Below is Dy2Mo8O33 after structural relaxation, with properties calculated at the PBE with a Hubbard U level.

Results
- ρ (Mg/m³) = 3.84

Cell lengths 9.373, 10.514, 14.222 Å; angles 90.00, 91.29, 90.00 degrees
Space group P2_1 (No. 4)
Asymmetric unit:
Dy (0.223, 0.000, 0.063) x2
Dy (0.271, 0.302, 0.427) x2
Mo (0.107, 0.225, 0.681) x2
Mo (0.113, 0.261, 0.917) x2
Mo (0.124, 0.513, 0.217) x2
Mo (0.129, 0.883, 0.652) x2
Mo (0.360, 0.800, 0.281) x2
Mo (0.382, 0.436, 0.844) x2
Mo (0.400, 0.059, 0.582) x2
Mo (0.405, 0.092, 0.818) x2
O (0.001, 0.580, 0.351) x2
O (0.002, 0.851, 0.340) x2
O (0.016, 0.884, 0.077) x2
O (0.022, 0.163, 0.815) x2
O (0.024, 0.316, 0.411) x2
O (0.044, 0.903, 0.772) x2
O (0.078, 0.171, 0.019) x2
O (0.146, 0.094, 0.210) x2
O (0.157, 0.119, 0.354) x2
O (0.158, 0.484, 0.102) x2
O (0.212, 0.516, 0.469) x2
O (0.232, 0.234, 0.584) x2
O (0.232, 0.968, 0.549) x2
O (0.236, 0.402, 0.287) x2
O (0.238, 0.283, 0.786) x2
O (0.241, 0.758, 0.672) x2
O (0.247, 0.653, 0.249) x2
O (0.248, 0.902, 0.205) x2
O (0.272, 0.561, 0.820) x2
O (0.277, 0.082, 0.913) x2
O (0.278, 0.035, 0.711) x2
O (0.280, 0.355, 0.949) x2
O (0.314, 0.830, 0.394) x2
O (0.322, 0.793, 0.019) x2
O (0.327, 0.182, 0.137) x2
O (0.341, 0.203, 0.281) x2
O (0.434, 0.149, 0.479) x2
O (0.468, 0.000, 0.087) x2
O (0.469, 0.436, 0.424) x2
O (0.477, 0.416, 0.727) x2
O (0.487, 0.465, 0.162) x2
O (0.487, 0.737, 0.148) x2
O (0.490, 0.158, 0.684) x2


Below is Dy2Mo4O15 after structural relaxation, with properties calculated at the PBE with a Hubbard U level.

Results
- ρ (Mg/m³) = 4.52

Cell lengths 6.920, 9.740, 10.716 Å; angles 90.00, 105.31, 90.00 degrees
Space group P2_1/c (No. 14)
Asymmetric unit:
Dy (0.211, 0.023, 0.276) x4
Mo (0.082, 0.743, 0.011) x4
Mo (0.379, 0.095, 0.844) x4
O (0.023, 0.126, 0.397) x4
O (0.116, 0.167, 0.101) x4
O (0.121, 0.056, 0.816) x4
O (0.221, 0.651, 0.919) x4
O (0.244, 0.635, 0.618) x4
O (0.386, 0.223, 0.352) x4
O (0.448, 0.028, 0.707) x4
O (0.500, 0.000, 0.000) x2


Below is Dy2Mo3O12 after structural relaxation, with properties calculated at the PBE with a Hubbard U level.

Results
- ρ (Mg/m³) = 4.55

Cell lengths 10.462, 10.477, 10.725 Å; angles 90.00, 90.00, 90.00 degrees
Space group Pba2 (No. 32)
Asymmetric unit:
Dy (0.006, 0.188, 0.000) x4
Dy (0.188, 0.504, 0.526) x4
Mo (0.003, 0.794, 0.620) x4
Mo (0.206, 0.511, 0.906) x4
Mo (0.243, 0.756, 0.263) x4
O (0.007, 0.374, 0.572) x4
O (0.020, 0.195, 0.784) x4
O (0.114, 0.384, 0.970) x4
O (0.119, 0.115, 0.544) x4
O (0.123, 0.828, 0.168) x4
O (0.127, 0.994, 0.953) x4
O (0.143, 0.181, 0.163) x4
O (0.154, 0.665, 0.958) x4
O (0.160, 0.847, 0.581) x4
O (0.171, 0.641, 0.364) x4
O (0.183, 0.376, 0.358) x4
O (0.193, 0.511, 0.741) x4


Below is NaDySnWO6 after structural relaxation, with properties calculated at the PBE with a Hubbard U level.

Results
- ρ (Mg/m³) = 6.70

Cell lengths 8.335, 8.335, 8.335 Å; angles 90.00, 90.00, 90.00 degrees
Space group F-43m (No. 216)
Asymmetric unit:
Na (0.000, 0.000, 0.000) x4
Dy (0.250, 0.250, 0.750) x4
Sn (0.000, 0.000, 0.500) x4
W (0.250, 0.250, 0.250) x4
O (0.016, 0.250, 0.250) x24


Below is NaSrDyWO6 after structural relaxation, with properties calculated at the PBE with a Hubbard U level.

Results
- ρ (Mg/m³) = 6.34

Cell lengths 8.335, 8.335, 8.335 Å; angles 90.00, 90.00, 90.00 degrees
Space group F-43m (No. 216)
Asymmetric unit:
Na (0.000, 0.000, 0.000) x4
Sr (0.000, 0.000, 0.500) x4
Dy (0.250, 0.250, 0.250) x4
W (0.250, 0.250, 0.750) x4
O (0.016, 0.250, 0.750) x24


Below is NaDyW2O8 after structural relaxation, with properties calculated at the PBE with a Hubbard U level.

Results
- ρ (Mg/m³) = 7.14

Cell lengths 5.273, 5.273, 11.390 Å; angles 90.00, 90.00, 90.00 degrees
Space group I-4 (No. 82)
Asymmetric unit:
Na (0.000, 0.000, 0.000) x2
Dy (0.000, 0.500, 0.250) x2
W (0.000, 0.000, 0.500) x2
W (0.000, 0.500, 0.750) x2
O (0.148, 0.246, 0.410) x8
O (0.164, 0.747, 0.833) x8


Number 1: E_form -6720.0 kJ/mol of formula units. Number 2: E_form -5110.2 kJ/mol of formula units. Number 3: E_form -4358.6 kJ/mol of formula units. Number 4: E_form -2356.8 kJ/mol of formula units. Number 5: E_form -2809.5 kJ/mol of formula units. Number 6: E_form -3012.9 kJ/mol of formula units.